Arrangement one

K2MgCr2CdH4O10 | PBE+U | optimized geometry

abc: 6.084 6.203 7.929
angles: 103.77 96.03 108.38
Fractional positions:
1 O 0.299 0.375 0.640
2 O 0.961 0.079 0.731
3 O 0.436 0.256 0.084
4 O 0.135 0.685 0.870
5 O 0.051 0.951 0.289
6 O 0.612 0.763 0.902
7 O 0.739 0.616 0.372
8 O 0.616 0.142 0.386
9 O 0.914 0.297 0.155
10 O 0.359 0.856 0.612
11 K 0.346 0.656 0.187
12 K 0.712 0.354 0.832
13 Mg 0.328 0.089 0.487
14 Cr 0.360 0.681 0.751
15 Cr 0.672 0.314 0.243
16 H 0.090 0.202 0.694
17 H 0.880 0.938 0.630
18 H 0.866 0.735 0.332
19 H 0.963 0.060 0.312
20 Cd 0.028 0.991 0.998


Arrangement two

K2MgCr2CdH4O10 | PBE+U | optimized geometry

abc: 5.953 6.611 7.890
angles: 110.05 96.42 107.02
Fractional positions:
1 K 0.613 0.269 0.705
2 K 0.399 0.774 0.310
3 O 0.643 0.722 0.888
4 O 0.774 0.642 0.340
5 O 0.376 0.293 0.060
6 O 0.177 0.697 0.954
7 O 0.213 0.365 0.678
8 O 0.918 0.999 0.693
9 O 0.646 0.193 0.324
10 O 0.874 0.290 0.057
11 O 0.082 0.006 0.330
12 O 0.313 0.802 0.642
13 H 0.106 0.153 0.435
14 H 0.041 0.087 0.645
15 H 0.952 0.871 0.336
16 H 0.864 0.838 0.602
17 Cr 0.668 0.355 0.202
18 Cr 0.358 0.674 0.782
19 Mg 0.130 0.371 0.928
20 Cd 0.019 0.980 0.031


arrangement one (4.4 kJ/mol of atoms below the next structure)


Arrangement one

Mg14CrCdO16 | PBE+U | optimized geometry

abc: 8.698 8.587 4.312
angles: 90.00 90.00 90.00
Fractional positions:
1 O 0.500 0.250 0.000
2 O 0.500 0.000 0.500
3 O 0.500 0.500 0.500
4 O 0.752 0.750 0.500
5 O 0.248 0.750 0.500
6 O 0.752 0.250 0.500
7 O 0.735 0.500 0.000
8 O 0.000 0.500 0.500
9 O 0.248 0.250 0.500
10 O 0.500 0.750 0.000
11 O 0.000 0.237 0.000
12 O 0.000 0.763 0.000
13 O 0.000 0.000 0.500
14 O 0.265 0.500 0.000
15 O 0.735 0.000 0.000
16 O 0.265 0.000 0.000
17 Mg 0.500 0.500 0.000
18 Mg 0.255 0.247 0.000
19 Mg 0.256 0.500 0.500
20 Mg 0.000 0.246 0.500
21 Mg 0.500 0.751 0.500
22 Mg 0.500 0.249 0.500
23 Mg 0.747 0.000 0.500
24 Mg 0.255 0.753 0.000
25 Mg 0.745 0.247 0.000
26 Mg 0.000 0.754 0.500
27 Mg 0.744 0.500 0.500
28 Mg 0.253 0.000 0.500
29 Mg 0.745 0.753 0.000
30 Mg 0.500 0.000 0.000
31 Cr 0.000 0.000 0.000
32 Cd 0.000 0.500 0.000


Arrangement two

Mg14CrCdO16 | PBE+U | optimized geometry

abc: 8.580 8.580 4.378
angles: 90.00 90.00 90.00
Fractional positions:
1 Mg 0.755 0.500 0.500
2 Mg 0.500 0.000 0.000
3 Mg 0.248 0.248 0.000
4 Mg 0.000 0.249 0.500
5 Mg 0.500 0.755 0.500
6 Mg 0.500 0.245 0.500
7 Mg 0.752 0.752 0.000
8 Mg 0.752 0.248 0.000
9 Mg 0.000 0.751 0.500
10 Mg 0.248 0.752 0.000
11 Mg 0.751 0.000 0.500
12 Mg 0.249 0.000 0.500
13 Mg 0.000 0.500 0.000
14 Mg 0.245 0.500 0.500
15 O 0.500 0.235 0.000
16 O 0.000 0.251 0.000
17 O 0.000 0.000 0.500
18 O 0.500 0.000 0.500
19 O 0.250 0.750 0.500
20 O 0.250 0.250 0.500
21 O 0.765 0.500 0.000
22 O 0.000 0.500 0.500
23 O 0.750 0.250 0.500
24 O 0.251 0.000 0.000
25 O 0.000 0.749 0.000
26 O 0.749 0.000 0.000
27 O 0.500 0.500 0.500
28 O 0.500 0.765 0.000
29 O 0.235 0.500 0.000
30 O 0.750 0.750 0.500
31 Cr 0.000 0.000 0.000
32 Cd 0.500 0.500 0.000


arrangement one (0.5 kJ/mol of atoms below the next structure)


Arrangement one

MgCr2Cd2O8 | PBE+U | optimized geometry

abc: 5.462 5.462 6.623
angles: 90.00 90.00 113.55
Fractional positions:
1 O 0.254 0.746 0.974
2 O 0.746 0.254 0.040
3 O 0.254 0.746 0.526
4 O 0.287 0.265 0.250
5 O 0.224 0.299 0.750
6 O 0.735 0.713 0.250
7 O 0.746 0.254 0.460
8 O 0.701 0.776 0.750
9 Cr 0.650 0.350 0.250
10 Cr 0.359 0.641 0.750
11 Cd 0.001 0.999 0.998
12 Cd 0.001 0.999 0.502
13 Mg 0.344 0.656 0.250


Arrangement two

MgCr2Cd2O8 | PBE+U | optimized geometry

abc: 5.400 5.400 6.895
angles: 86.71 93.29 111.51
Fractional positions:
1 Cd 0.000 0.000 0.500
2 Cd 0.000 0.000 0.000
3 O 0.697 0.750 0.744
4 O 0.757 0.243 0.025
5 O 0.253 0.747 0.565
6 O 0.250 0.303 0.744
7 O 0.750 0.697 0.256
8 O 0.243 0.757 0.975
9 O 0.747 0.253 0.435
10 O 0.303 0.250 0.256
11 Cr 0.648 0.352 0.209
12 Cr 0.352 0.648 0.791
13 Mg 0.500 0.500 0.500


arrangement one (16.8 kJ/mol of atoms below the next structure)